Record 1
# CaTeO3, optimized geometry, DFT PBE
data_CaTeO3
_chemical_formula_sum 'Ca18 Te18 O54'
_space_group_name_H-M_alt 'P -1'
_space_group_IT_number 2
_cell_length_a 10.598
_cell_length_b 11.380
_cell_length_c 13.932
_cell_angle_alpha 76.65
_cell_angle_beta 85.73
_cell_angle_gamma 71.13
loop_
_space_group_symop_operation_xyz
'x,y,z'
'-x,-y,-z'
loop_
_atom_site_label
_atom_site_fract_x
_atom_site_fract_y
_atom_site_fract_z
Ca1 0.024 0.469 0.133
Ca2 0.066 0.382 0.417
Ca3 0.098 0.871 0.423
Ca4 0.199 0.640 0.257
Ca5 0.245 0.084 0.237
Ca6 0.314 0.534 0.529
Ca7 0.403 0.449 0.826
Ca8 0.412 0.885 0.065
Ca9 0.435 0.361 0.092
Te1 0.015 0.022 0.851
Te2 0.108 0.738 0.713
Te3 0.123 0.311 0.665
Te4 0.217 0.224 0.954
Te5 0.250 0.665 0.019
Te6 0.274 0.016 0.530
Te7 0.404 0.945 0.811
Te8 0.436 0.320 0.365
Te9 0.453 0.766 0.358
O1 0.005 0.426 0.737
O2 0.026 0.716 0.384
O3 0.070 0.270 0.270
O4 0.073 0.992 0.258
O5 0.090 0.363 0.000
O6 0.090 0.814 0.134
O7 0.111 0.983 0.560
O8 0.132 0.446 0.556
O9 0.133 0.699 0.586
O10 0.163 0.064 0.786
O11 0.181 0.575 0.795
O12 0.217 0.528 0.117
O13 0.227 0.194 0.501
O14 0.232 0.092 0.068
O15 0.261 0.436 0.359
O16 0.280 0.980 0.403
O17 0.302 0.705 0.380
O18 0.358 0.818 0.908
O19 0.369 0.682 0.109
O20 0.371 0.277 0.959
O21 0.381 0.550 0.956
O22 0.400 0.875 0.233
O23 0.416 0.377 0.679
O24 0.417 0.171 0.201
O25 0.423 0.028 0.909
O26 0.498 0.606 0.755
O27 0.499 0.610 0.545
# - Formation enthalpy at 0 K: -1158 kJ/mol of formula units

=====

Record 2
# CaTe2O7, optimized geometry, DFT PBE
data_CaTe2O7
_chemical_formula_sum 'Ca2 Te4 O14'
_space_group_name_H-M_alt 'P 1 21 1'
_space_group_IT_number 4
_cell_length_a 7.265
_cell_length_b 7.464
_cell_length_c 7.611
_cell_angle_alpha 90.00
_cell_angle_beta 106.99
_cell_angle_gamma 90.00
loop_
_space_group_symop_operation_xyz
'x,y,z'
'-x,y+1/2,-z'
loop_
_atom_site_label
_atom_site_fract_x
_atom_site_fract_y
_atom_site_fract_z
Ca1 0.206 0.000 0.086
Te1 0.238 0.909 0.602
Te2 0.333 0.482 0.069
O1 0.114 0.697 0.584
O2 0.115 0.341 0.018
O3 0.213 0.056 0.786
O4 0.252 0.025 0.396
O5 0.275 0.700 0.143
O6 0.454 0.482 0.891
O7 0.483 0.349 0.283
# - Formation enthalpy at 0 K: -1601 kJ/mol of formula units

=====

Record 3
# Ca5Te3O14, optimized geometry, DFT PBE
data_Ca5Te3O14
_chemical_formula_sum 'Ca20 Te12 O56'
_space_group_name_H-M_alt 'C m c e'
_space_group_IT_number 64
_space_group_name_Hall '-C 2ac 2'
_cell_length_a 10.568
_cell_length_b 10.526
_cell_length_c 10.602
_cell_angle_alpha 90.00
_cell_angle_beta 90.00
_cell_angle_gamma 90.00
loop_
_atom_site_label
_atom_site_fract_x
_atom_site_fract_y
_atom_site_fract_z
Ca1 0.000 0.000 0.000
Ca2 0.000 0.245 0.227
Ca3 0.250 0.018 0.750
Te1 0.000 0.000 0.500
Te2 0.250 0.250 0.000
O1 0.000 0.055 0.330
O2 0.127 0.120 0.565
O3 0.143 0.179 0.870
O4 0.164 0.131 0.112
# - Formation enthalpy at 0 K: -5340 kJ/mol of formula units

=====

Record 4
# CaTeO3, optimized geometry, DFT PBE
data_CaTeO3
_chemical_formula_sum 'Ca8 Te8 O24'
_space_group_name_H-M_alt 'P c a 21'
_space_group_IT_number 29
_cell_length_a 8.235
_cell_length_b 6.551
_cell_length_c 13.778
_cell_angle_alpha 90.00
_cell_angle_beta 90.00
_cell_angle_gamma 90.00
loop_
_space_group_symop_operation_xyz
'x,y,z'
'-x,-y,z+1/2'
'-x+1/2,y,z+1/2'
'x+1/2,-y,z'
loop_
_atom_site_label
_atom_site_fract_x
_atom_site_fract_y
_atom_site_fract_z
Ca1 0.087 0.110 0.000
Ca2 0.188 0.611 0.937
Te1 0.056 0.412 0.631
Te2 0.169 0.091 0.308
O1 0.035 0.791 0.828
O2 0.053 0.568 0.513
O3 0.077 0.796 0.078
O4 0.174 0.935 0.427
O5 0.188 0.293 0.857
O6 0.234 0.303 0.114
# - Formation enthalpy at 0 K: -1150 kJ/mol of formula units

=====

Record 5
# Ca4Ti5Te3O18, optimized geometry, DFT PBE
data_Ca4Ti5Te3O18
_chemical_formula_sum 'Ca16 Ti20 Te12 O72'
_space_group_name_H-M_alt 'C 1 2/c 1'
_space_group_IT_number 15
_cell_length_a 14.781
_cell_length_b 10.306
_cell_length_c 11.652
_cell_angle_alpha 90.00
_cell_angle_beta 95.26
_cell_angle_gamma 90.00
loop_
_space_group_symop_operation_xyz
'x,y,z'
'-x,-y,-z'
'-x,y,-z+1/2'
'x,-y,z+1/2'
'x+1/2,y+1/2,z'
'-x+1/2,-y+1/2,-z'
'-x+1/2,y+1/2,-z+1/2'
'x+1/2,-y+1/2,z+1/2'
loop_
_atom_site_label
_atom_site_fract_x
_atom_site_fract_y
_atom_site_fract_z
Ca1 0.051 0.177 0.036
Ca2 0.211 0.354 0.859
Ti1 0.000 0.378 0.750
Ti2 0.148 0.338 0.315
Ti3 0.163 0.212 0.572
Te1 0.000 0.500 0.000
Te2 0.154 0.003 0.852
O1 0.060 0.339 0.905
O2 0.082 0.321 0.450
O3 0.091 0.061 0.486
O4 0.092 0.483 0.261
O5 0.103 0.265 0.692
O6 0.138 0.214 0.201
O7 0.200 0.144 0.947
O8 0.230 0.182 0.412
O9 0.237 0.079 0.655
# - Formation enthalpy at 0 K: -8268 kJ/mol of formula units

=====

Record 6
# Ca3Zn3Te2O12, optimized geometry, DFT PBE
data_Ca3Zn3Te2O12
_chemical_formula_sum 'Ca24 Zn24 Te16 O96'
_space_group_name_H-M_alt 'I 41 3 2'
_space_group_IT_number 214
_space_group_name_Hall 'I 4bd 2c 3'
_cell_length_a 12.985
_cell_length_b 12.985
_cell_length_c 12.985
_cell_angle_alpha 90.00
_cell_angle_beta 90.00
_cell_angle_gamma 90.00
loop_
_atom_site_label
_atom_site_fract_x
_atom_site_fract_y
_atom_site_fract_z
Ca1 0.031 0.125 0.781
Zn1 0.030 0.375 0.280
Te1 0.007 0.007 0.007
O1 0.029 0.468 0.152
O2 0.031 0.365 0.459
# - Formation enthalpy at 0 K: -4246 kJ/mol of formula units

=====

Record 7
# Ca3Zn3Te2O12, optimized geometry, DFT PBE
data_Ca3Zn3Te2O12
_chemical_formula_sum 'Ca24 Zn24 Te16 O96'
_space_group_name_H-M_alt 'I a -3 d'
_space_group_IT_number 230
_space_group_name_Hall '-I 4bd 2c 3'
_cell_length_a 12.753
_cell_length_b 12.753
_cell_length_c 12.753
_cell_angle_alpha 90.00
_cell_angle_beta 90.00
_cell_angle_gamma 90.00
loop_
_atom_site_label
_atom_site_fract_x
_atom_site_fract_y
_atom_site_fract_z
Ca1 0.000 0.250 0.125
Zn1 0.000 0.250 0.375
Te1 0.000 0.000 0.000
O1 0.026 0.049 0.643
# - Formation enthalpy at 0 K: -4478 kJ/mol of formula units

=====

Total energy after the MP2020 corrections across the listed records, respectively: -6.40; -5.95; -6.55; -6.38; -7.72; -5.97; -6.09 eV/atom.
Energy across the listed records, respectively: -5.986; -5.471; -6.112; -5.970; -7.311; -5.561; -5.681 eV per atom.